Entry 1:
## HfNCl (GGA-PBE)

Data for HfNCl after structural relaxation.

Cell: 10.088 10.088 10.088 Å, 20.46 20.46 20.46°
Sites, in units of the cell vectors:
1 Hf 0.878 0.878 0.878
2 Hf 0.122 0.122 0.122
3 N 0.804 0.804 0.804
4 N 0.196 0.196 0.196
5 Cl 0.606 0.606 0.606
6 Cl 0.394 0.394 0.394

Energy with MP2020 corrections ... -52.7 eV for the cell shown

Entry 2:
## Mg2Cu2CO11 (GGA-PBE)

Data for Mg2Cu2CO11 after structural relaxation.

Cell: 7.764 7.764 7.400 Å, 83.12 83.12 92.36°
Sites, in units of the cell vectors:
1 Mg 0.145 0.493 0.314
2 Mg 0.507 0.855 0.186
3 Mg 0.855 0.507 0.686
4 Mg 0.493 0.145 0.814
5 Cu 0.047 0.832 0.473
6 Cu 0.168 0.953 0.027
7 Cu 0.953 0.168 0.527
8 Cu 0.832 0.047 0.973
9 C 0.541 0.459 0.250
10 C 0.459 0.541 0.750
11 O 0.383 0.407 0.250
12 O 0.593 0.617 0.250
13 O 0.617 0.593 0.750
14 O 0.407 0.383 0.750
15 O 0.240 0.736 0.156
16 O 0.264 0.760 0.344
17 O 0.760 0.264 0.844
18 O 0.736 0.240 0.656
19 O 0.849 0.955 0.508
20 O 0.045 0.151 0.992
21 O 0.151 0.045 0.492
22 O 0.955 0.849 0.008
23 O 0.941 0.628 0.427
24 O 0.372 0.059 0.073
25 O 0.059 0.372 0.573
26 O 0.628 0.941 0.927
27 O 0.983 0.292 0.265
28 O 0.708 0.017 0.235
29 O 0.017 0.708 0.735
30 O 0.292 0.983 0.765
31 O 0.656 0.344 0.250
32 O 0.344 0.656 0.750

Energy with MP2020 corrections ... -172.4 eV for the cell shown
Relative energy among the computed polymorphs ... 0.293 eV/atom

Entry 3:
## BaLiH3 (GGA-PBE)

Data for BaLiH3 after structural relaxation.

Cell: 5.066 5.066 5.066 Å, 90.00 90.00 90.00°
Sites, in units of the cell vectors:
1 Ba 0.500 0.500 0.500
2 Li 0.000 0.000 0.000
3 H 0.000 0.500 0.500
4 H 0.500 0.500 0.000
5 H 0.500 0.000 0.500

Energy with MP2020 corrections ... -14.0 eV for the cell shown
Relative energy among the computed polymorphs ... 0.621 eV/atom

Entry 4:
## Na2NbF6 (GGA-PBE)

Data for Na2NbF6 after structural relaxation.

Cell: 5.122 5.122 10.463 Å, 90.00 90.00 90.00°
Sites, in units of the cell vectors:
1 Na 0.000 0.000 0.332
2 Na 0.500 0.500 0.832
3 Na 0.000 0.000 0.668
4 Na 0.500 0.500 0.168
5 Nb 0.000 0.000 0.000
6 Nb 0.500 0.500 0.500
7 F 0.686 0.686 0.647
8 F 0.314 0.314 0.647
9 F 0.686 0.686 0.353
10 F 0.186 0.814 0.147
11 F 0.814 0.186 0.147
12 F 0.814 0.186 0.853
13 F 0.273 0.273 0.000
14 F 0.227 0.773 0.500
15 F 0.773 0.227 0.500
16 F 0.727 0.727 0.000
17 F 0.314 0.314 0.353
18 F 0.186 0.814 0.853

Energy with MP2020 corrections ... -106.0 eV for the cell shown

Entry 5:
## P4H36WC12Cl2 (GGA-PBE)

Data for P4H36WC12Cl2 after structural relaxation.

Cell: 9.543 9.543 9.543 Å, 117.62 117.62 94.17°
Sites, in units of the cell vectors:
1 P 0.355 0.355 0.648
2 P 0.707 0.707 0.352
3 P 0.293 0.645 0.000
4 P 0.645 0.293 0.000
5 H 0.244 0.413 0.400
6 H 0.013 0.845 0.600
7 H 0.987 0.587 0.832
8 H 0.756 0.155 0.168
9 H 0.155 0.756 0.168
10 H 0.587 0.987 0.832
11 H 0.413 0.244 0.400
12 H 0.845 0.013 0.600
13 H 0.184 0.518 0.563
14 H 0.955 0.621 0.437
15 H 0.045 0.482 0.666
16 H 0.816 0.379 0.334
17 H 0.379 0.816 0.334
18 H 0.482 0.045 0.666
19 H 0.518 0.184 0.563
20 H 0.621 0.955 0.437
21 H 0.397 0.599 0.634
22 H 0.965 0.763 0.366
23 H 0.035 0.401 0.797
24 H 0.603 0.237 0.203
25 H 0.237 0.603 0.203
26 H 0.401 0.035 0.797
27 H 0.599 0.397 0.634
28 H 0.763 0.965 0.366
29 H 0.116 0.116 0.330
30 H 0.786 0.786 0.670
31 H 0.214 0.884 0.000
32 H 0.884 0.214 0.000
33 H 0.062 0.189 0.501
34 H 0.687 0.560 0.499
35 H 0.313 0.811 0.873
36 H 0.938 0.440 0.127
37 H 0.440 0.938 0.127
38 H 0.811 0.313 0.873
39 H 0.189 0.062 0.501
40 H 0.560 0.687 0.499
41 W 0.500 0.500 0.000
42 C 0.162 0.162 0.479
43 C 0.683 0.683 0.521
44 C 0.317 0.838 0.000
45 C 0.838 0.317 0.000
46 C 0.287 0.483 0.551
47 C 0.932 0.737 0.449
48 C 0.068 0.517 0.804
49 C 0.713 0.263 0.196
50 C 0.263 0.713 0.196
51 C 0.517 0.068 0.804
52 C 0.483 0.287 0.551
53 C 0.737 0.932 0.449
54 Cl 0.690 0.690 0.000
55 Cl 0.310 0.310 0.000

Energy with MP2020 corrections ... -284.5 eV for the cell shown

Entry 6:
## PrSe2 (GGA-PBE)

Data for PrSe2 after structural relaxation.

Cell: 4.228 8.488 8.613 Å, 89.80 90.00 90.00°
Sites, in units of the cell vectors:
1 Pr 0.278 0.627 0.725
2 Pr 0.722 0.373 0.275
3 Pr 0.778 0.873 0.275
4 Pr 0.222 0.127 0.725
5 Se 0.317 0.882 0.002
6 Se 0.757 0.875 0.632
7 Se 0.183 0.382 0.002
8 Se 0.817 0.618 0.998
9 Se 0.257 0.625 0.368
10 Se 0.683 0.118 0.998
11 Se 0.743 0.375 0.632
12 Se 0.243 0.125 0.368

Energy with MP2020 corrections ... -70.4 eV for the cell shown

no.,VASP energy (eV per atom)
1,-8.583
2,-5.276
3,-2.684
4,-5.583
5,-5.151
6,-5.555